(1)
PBE ZnCo3, optimized geometry; magnetic moment = 4.3 μB/f.u.; space group = Fm-3m (225)
1.0
5.689 0.000 0.000
0.000 5.689 0.000
0.000 0.000 5.689
Zn Co
4 12
Cartesian
0.000 0.000 0.000
0.000 2.845 2.845
2.845 0.000 2.845
2.845 2.845 0.000
0.000 0.000 2.845
0.000 2.845 0.000
1.422 1.422 1.422
1.422 1.422 4.267
1.422 4.267 1.422
1.422 4.267 4.267
2.845 0.000 0.000
2.845 2.845 2.845
4.267 1.422 1.422
4.267 1.422 4.267
4.267 4.267 1.422
4.267 4.267 4.267

(2)
PBE Sc3RuC4, optimized geometry; space group = C2/m (12)
1.0
6.430 -2.250 0.000
6.430 2.250 0.000
-1.722 0.000 6.434
Sc Ru C
6 2 8
Cartesian
0.000 0.000 0.000
-0.861 0.000 3.217
3.280 0.000 2.612
2.438 0.000 5.839
8.700 0.000 0.595
7.858 0.000 3.822
5.976 0.000 1.684
5.162 0.000 4.750
4.445 1.536 1.194
3.596 1.533 4.410
7.542 1.533 2.024
6.693 1.536 5.240
4.445 -1.536 1.194
3.596 -1.533 4.410
7.542 -1.533 2.024
6.693 -1.536 5.240

(3)
PBE CsTlF4, optimized geometry; corrected total energy (MP2020 scheme) = -103.7 eV for the cell shown; space group = Pbcm (57)
1.0
6.688 0.000 0.000
0.000 8.613 0.000
0.000 0.000 8.685
Cs Tl F
4 4 16
Cartesian
0.079 1.697 2.171
0.079 2.610 6.514
6.609 6.003 2.171
6.609 6.916 6.514
3.344 0.000 0.000
3.344 0.000 4.342
3.344 4.306 0.000
3.344 4.306 4.342
1.385 4.872 4.834
1.385 4.872 8.193
1.385 8.047 0.492
1.385 8.047 3.851
2.560 2.153 0.000
2.560 2.153 4.342
2.689 4.481 2.171
2.689 8.438 6.514
3.998 0.174 2.171
3.998 4.132 6.514
4.127 6.459 0.000
4.127 6.459 4.342
5.303 0.566 4.834
5.303 0.566 8.193
5.303 3.740 0.492
5.303 3.740 3.851

(4)
PBE Rb2Zr2O5, optimized geometry; corrected total energy (MP2020 scheme) = -70.9 eV for the cell shown; magnetic moment = 0.0 μB/f.u.; space group = P4/mmm (123)
1.0
4.111 0.000 0.000
0.000 4.111 0.000
0.000 0.000 9.202
Rb Zr O
2 2 5
Cartesian
0.000 0.000 0.000
0.000 0.000 4.601
2.055 2.055 2.045
2.055 2.055 7.157
0.000 2.055 2.467
0.000 2.055 6.735
2.055 0.000 2.467
2.055 0.000 6.735
2.055 2.055 0.000

(5)
PBE Ac2ZnSi, optimized geometry; corrected total energy (MP2020 scheme) = -64.3 eV for the cell shown; space group = Fm-3m (225)
1.0
7.741 0.000 0.000
0.000 7.741 0.000
0.000 0.000 7.741
Ac Zn Si
8 4 4
Cartesian
1.935 1.935 1.935
1.935 1.935 5.806
1.935 5.806 1.935
1.935 5.806 5.806
5.806 1.935 1.935
5.806 1.935 5.806
5.806 5.806 1.935
5.806 5.806 5.806
0.000 0.000 0.000
0.000 3.871 3.871
3.871 0.000 3.871
3.871 3.871 0.000
0.000 0.000 3.871
0.000 3.871 0.000
3.871 0.000 0.000
3.871 3.871 3.871

(6)
PBE SmEuHf4O12, optimized geometry; corrected total energy (MP2020 scheme) = -177.4 eV for the cell shown; magnetic moment = 4.0 μB/f.u.; space group = Amm2 (38)
1.0
8.120 0.000 0.000
0.000 4.014 4.046
0.000 -4.014 4.046
Sm Eu Hf O
1 1 4 12
Cartesian
0.000 0.000 0.000
4.060 0.000 4.415
2.031 -1.919 2.274
2.031 1.919 2.274
6.090 -1.919 2.274
6.090 1.919 2.274
0.000 -2.347 2.542
0.000 2.347 2.542
1.536 0.000 1.744
2.200 -1.594 4.319
2.200 1.594 4.319
2.272 0.000 6.574
4.060 -1.590 2.374
4.060 1.590 2.374
5.848 0.000 6.574
5.920 -1.594 4.319
5.920 1.594 4.319
6.584 0.000 1.744

(7)
PBE CaTa2Bi2O9, optimized geometry; polymorph energy (0 for the lowest one) = 0.000 kcal/mol of atoms; corrected total energy (MP2020 scheme) = -235.9 eV for the cell shown; magnetic moment = 0.0 μB/f.u.; space group = Cmc2_1 (36)
1.0
12.677 -2.747 0.000
12.677 2.747 0.000
0.000 0.000 5.556
Ca Ta Bi O
2 4 4 18
Cartesian
12.677 1.403 2.778
12.677 -1.403 0.000
10.621 1.362 5.362
14.734 1.362 5.362
10.621 -1.362 2.584
14.734 -1.362 2.584
7.626 1.550 3.012
17.729 1.550 3.012
7.626 -1.550 0.234
17.729 -1.550 0.234
8.784 1.825 5.265
1.551 0.198 4.064
1.551 -0.198 1.285
6.351 0.070 4.258
6.351 -0.070 1.480
16.571 1.825 5.265
12.677 0.946 5.148
10.499 0.259 3.637
10.499 -0.259 0.859
14.856 0.259 3.637
14.856 -0.259 0.859
12.677 -0.946 2.370
8.784 -1.825 2.486
19.004 0.070 4.258
19.004 -0.070 1.480
23.804 0.198 4.064
23.804 -0.198 1.285
16.571 -1.825 2.486

(8)
PBE GdDyAl4, optimized geometry; space group = F-43m (216)
1.0
0.000 3.943 3.943
3.943 0.000 3.943
3.943 3.943 0.000
Gd Dy Al
1 1 4
Cartesian
0.000 0.000 0.000
5.914 5.914 5.914
2.957 2.957 2.957
4.929 4.929 2.957
4.929 2.957 4.929
2.957 4.929 4.929

Number 1: final energy -5.600 eV per atom. Number 2: final energy -8.618 eV per atom. Number 3: final energy -4.015 eV per atom. Number 4: final energy -7.498 eV per atom. Number 5: final energy -4.038 eV per atom. Number 6: final energy -9.395 eV per atom. Number 7: final energy -7.982 eV per atom. Number 8: final energy -6.131 eV per atom.